# 1
This record from Materials Project describes crystalline Ba3TiFe2O9 at its relaxed geometry. The functional is PBE+U.

a = 5.772 Å, b = 5.772 Å, c = 14.119 Å
α = 90.00°, β = 90.00°, γ = 120.00°
Atoms (fractional coordinates):
Ba  0.667  0.333  0.407
Ba  0.333  0.667  0.593
Ba  0.333  0.667  0.911
Ba  0.667  0.333  0.089
Ba  0.000  0.000  0.246
Ba  0.000  0.000  0.754
Ti  0.667  0.333  0.649
Ti  0.333  0.667  0.351
Fe  0.333  0.667  0.157
Fe  0.667  0.333  0.843
Fe  0.000  0.000  0.500
Fe  0.000  0.000  0.000
O  0.660  0.830  0.417
O  0.170  0.830  0.417
O  0.170  0.340  0.417
O  0.340  0.170  0.583
O  0.830  0.170  0.583
O  0.830  0.660  0.583
O  0.335  0.168  0.918
O  0.832  0.168  0.918
O  0.832  0.665  0.918
O  0.665  0.832  0.082
O  0.168  0.832  0.082
O  0.168  0.335  0.082
O  0.036  0.518  0.246
O  0.482  0.518  0.246
O  0.482  0.964  0.246
O  0.964  0.482  0.754
O  0.518  0.482  0.754
O  0.518  0.036  0.754

Calculated values
E_form ... -39.10 eV/f.u.
Final energy ... -103.53 eV per formula unit
V ... 407 Å³ per cell
Space group ... P-3m1 (164)
E (MP2020) ... -7.62 eV/atom

---

# 2
This record from Materials Project describes crystalline Ba2TlFe2O7 at its relaxed geometry. The functional is PBE+U.

a = 3.763 Å, b = 3.763 Å, c = 13.409 Å
α = 90.00°, β = 90.00°, γ = 90.00°
Atoms (fractional coordinates):
Ba  0.500  0.500  0.706
Ba  0.500  0.500  0.294
Tl  0.000  0.000  0.500
Fe  0.000  0.000  0.893
Fe  0.000  0.000  0.107
O  0.500  0.500  0.500
O  0.000  0.500  0.869
O  0.500  0.000  0.869
O  0.000  0.500  0.131
O  0.500  0.000  0.131
O  0.000  0.000  0.655
O  0.000  0.000  0.345

Calculated values
E_form ... -20.63 eV/f.u.
Final energy ... -69.09 eV per formula unit
V ... 190 Å³ per cell
Space group ... P4/mmm (123)
E (MP2020) ... -6.53 eV/atom

---

# 3
This record from Materials Project describes crystalline Ba2YTlFe2O7 at its relaxed geometry. The functional is PBE+U.

a = 3.965 Å, b = 3.965 Å, c = 12.960 Å
α = 90.00°, β = 90.00°, γ = 90.00°
Atoms (fractional coordinates):
Ba  0.000  0.000  0.201
Ba  0.000  0.000  0.799
Y  0.000  0.000  0.500
Tl  0.500  0.500  0.000
Fe  0.500  0.500  0.372
Fe  0.500  0.500  0.628
O  0.500  0.500  0.167
O  0.500  0.000  0.389
O  0.000  0.500  0.389
O  0.000  0.500  0.611
O  0.000  0.000  0.000
O  0.500  0.000  0.611
O  0.500  0.500  0.833

Calculated values
E_form ... -30.02 eV/f.u.
Final energy ... -84.94 eV per formula unit
V ... 204 Å³ per cell
Space group ... P4/mmm (123)
E (MP2020) ... -7.25 eV/atom

---

# 4
This record from Materials Project describes crystalline Ba2VFeO6 at its relaxed geometry. The functional is PBE+U.

a = 5.730 Å, b = 5.730 Å, c = 18.780 Å
α = 90.00°, β = 90.00°, γ = 120.00°
Atoms (fractional coordinates):
Ba  0.000  0.000  0.500
Ba  0.000  0.000  0.000
Ba  0.333  0.667  0.750
Ba  0.667  0.333  0.250
Ba  0.333  0.667  0.365
Ba  0.667  0.333  0.635
Ba  0.667  0.333  0.865
Ba  0.333  0.667  0.135
V  0.333  0.667  0.938
V  0.667  0.333  0.062
V  0.667  0.333  0.438
V  0.333  0.667  0.562
Fe  0.000  0.000  0.319
Fe  0.000  0.000  0.681
Fe  0.000  0.000  0.819
Fe  0.000  0.000  0.181
O  0.500  0.500  0.500
O  0.500  0.000  0.500
O  0.000  0.500  0.500
O  0.500  0.500  0.000
O  0.500  0.000  0.000
O  0.000  0.500  0.000
O  0.155  0.845  0.250
O  0.155  0.310  0.250
O  0.690  0.845  0.250
O  0.845  0.155  0.750
O  0.845  0.690  0.750
O  0.310  0.155  0.750
O  0.176  0.824  0.883
O  0.176  0.352  0.883
O  0.648  0.824  0.883
O  0.824  0.176  0.117
O  0.824  0.648  0.117
O  0.352  0.176  0.117
O  0.824  0.176  0.383
O  0.824  0.648  0.383
O  0.352  0.176  0.383
O  0.176  0.824  0.617
O  0.176  0.352  0.617
O  0.648  0.824  0.617

Calculated values
E_form ... -25.69 eV/f.u.
Final energy ... -68.69 eV per formula unit
V ... 534 Å³ per cell
Space group ... P6_3/mmc (194)
E (MP2020) ... -7.68 eV/atom

---

# 5
This record from Materials Project describes crystalline Ba2VFeO6 at its relaxed geometry. The functional is PBE+U.

a = 5.682 Å, b = 5.682 Å, c = 5.682 Å
α = 60.00°, β = 60.00°, γ = 60.00°
Atoms (fractional coordinates):
Ba  0.250  0.250  0.250
Ba  0.750  0.750  0.750
V  0.000  0.000  0.000
Fe  0.500  0.500  0.500
O  0.760  0.240  0.240
O  0.760  0.240  0.760
O  0.240  0.760  0.760
O  0.240  0.760  0.240
O  0.240  0.240  0.760
O  0.760  0.760  0.240

Calculated values
E_form ... -25.93 eV/f.u.
Final energy ... -68.93 eV per formula unit
V ... 130 Å³ per cell
Space group ... Fm-3m (225)
E (MP2020) ... -7.70 eV/atom

---

# 6
This record from Materials Project describes crystalline Ba2FeWO6 at its relaxed geometry. The functional is PBE+U.

a = 5.835 Å, b = 8.375 Å, c = 5.836 Å
α = 90.00°, β = 91.74°, γ = 89.99°
Atoms (fractional coordinates):
Ba  0.000  0.250  0.500
Ba  0.500  0.750  0.000
Ba  0.500  0.250  0.000
Ba  0.000  0.750  0.500
Fe  0.500  0.000  0.500
Fe  0.000  0.500  0.000
W  0.000  0.000  0.000
W  0.500  0.500  0.500
O  0.266  0.500  0.734
O  0.766  0.000  0.234
O  0.242  0.000  0.242
O  0.742  0.500  0.742
O  0.258  0.500  0.258
O  0.758  0.000  0.758
O  0.234  0.000  0.766
O  0.734  0.500  0.266
O  0.000  0.234  0.000
O  0.500  0.734  0.500
O  0.000  0.766  0.000
O  0.500  0.266  0.500

Calculated values
E_form ... -26.40 eV/f.u.
Final energy ... -70.54 eV per formula unit
V ... 285 Å³ per cell
E (MP2020) ... -8.14 eV/atom

---

# 7
This record from Materials Project describes crystalline Ba2FeWO6 at its relaxed geometry. The functional is PBE+U.

a = 5.841 Å, b = 10.115 Å, c = 5.866 Å
α = 73.70°, β = 119.59°, γ = 106.66°
Atoms (fractional coordinates):
Ba  0.373  0.125  0.626
Ba  0.878  0.625  0.123
Ba  0.127  0.375  0.874
Ba  0.622  0.875  0.377
Fe  0.250  0.750  0.750
Fe  0.750  0.250  0.250
W  0.504  0.500  0.498
W  0.996  0.000  0.002
O  0.151  0.382  0.380
O  0.637  0.880  0.884
O  0.875  0.119  0.122
O  0.387  0.619  0.616
O  0.625  0.381  0.378
O  0.113  0.881  0.884
O  0.349  0.118  0.120
O  0.863  0.620  0.616
O  0.877  0.117  0.650
O  0.389  0.618  0.145
O  0.623  0.383  0.850
O  0.111  0.882  0.355

Calculated values
E_form ... -26.40 eV/f.u.
Final energy ... -70.54 eV per formula unit
V ... 285 Å³ per cell
Space group ... P-1 (2)
E (MP2020) ... -8.14 eV/atom

---

# 8
This record from Materials Project describes crystalline Ba2YFe3O8 at its relaxed geometry. The functional is PBE+U.

a = 3.969 Å, b = 3.969 Å, c = 12.093 Å
α = 90.00°, β = 90.00°, γ = 90.00°
Atoms (fractional coordinates):
Ba  0.500  0.500  0.162
Ba  0.500  0.500  0.838
Y  0.500  0.500  0.500
Fe  0.000  0.000  0.340
Fe  0.000  0.000  0.000
Fe  0.000  0.000  0.660
O  0.000  0.500  0.384
O  0.500  0.000  0.384
O  0.500  0.000  0.000
O  0.000  0.000  0.185
O  0.000  0.500  0.616
O  0.500  0.000  0.616
O  0.000  0.000  0.815
O  0.000  0.500  0.000

Calculated values
E_form ... -34.85 eV/f.u.
Final energy ... -97.88 eV per formula unit
V ... 190 Å³ per cell
Space group ... P4/mmm (123)
E (MP2020) ... -7.87 eV/atom

---

# 9
This record from Materials Project describes crystalline BaYFe4O7 at its relaxed geometry. The functional is PBE+U.

a = 6.425 Å, b = 6.425 Å, c = 6.425 Å
α = 60.00°, β = 60.00°, γ = 60.00°
Atoms (fractional coordinates):
Ba  0.750  0.750  0.750
Y  0.000  0.000  0.000
Fe  0.378  0.378  0.866
Fe  0.378  0.866  0.378
Fe  0.866  0.378  0.378
Fe  0.378  0.378  0.378
O  0.752  0.752  0.248
O  0.248  0.752  0.248
O  0.752  0.248  0.248
O  0.248  0.248  0.752
O  0.752  0.248  0.752
O  0.248  0.752  0.752
O  0.250  0.250  0.250

Calculated values
E_form ... -26.62 eV/f.u.
Final energy ... -89.69 eV per formula unit
V ... 188 Å³ per cell
Space group ... F-43m (216)
E (MP2020) ... -7.96 eV/atom

---

# 10
This record from Materials Project describes crystalline BaYFe4O7 at its relaxed geometry. The functional is PBE+U.

a = 6.475 Å, b = 6.475 Å, c = 6.475 Å
α = 121.46°, β = 121.46°, γ = 87.50°
Atoms (fractional coordinates):
Ba  0.250  0.750  0.500
Y  0.000  0.000  0.000
Fe  0.139  0.349  0.729
Fe  0.621  0.411  0.271
Fe  0.651  0.379  0.790
Fe  0.589  0.861  0.210
O  0.828  0.327  0.106
O  0.221  0.721  0.894
O  0.673  0.779  0.501
O  0.279  0.172  0.499
O  0.755  0.755  0.000
O  0.245  0.245  0.000
O  0.750  0.250  0.500

Calculated values
E_form ... -28.31 eV/f.u.
Final energy ... -91.38 eV per formula unit
V ... 188 Å³ per cell
Space group ... I-4 (82)
E (MP2020) ... -8.09 eV/atom

---

# 11
This record from Materials Project describes crystalline BaYFeO4 at its relaxed geometry. The functional is PBE+U.

a = 5.759 Å, b = 10.383 Å, c = 13.356 Å
α = 90.00°, β = 90.00°, γ = 90.00°
Atoms (fractional coordinates):
Ba  0.250  0.826  0.713
Ba  0.250  0.674  0.213
Ba  0.750  0.174  0.287
Ba  0.750  0.326  0.787
Ba  0.250  0.103  0.916
Ba  0.250  0.397  0.416
Ba  0.750  0.897  0.084
Ba  0.750  0.603  0.584
Y  0.250  0.485  0.915
Y  0.250  0.015  0.415
Y  0.750  0.515  0.085
Y  0.750  0.985  0.585
Y  0.250  0.190  0.643
Y  0.250  0.310  0.143
Y  0.750  0.810  0.357
Y  0.750  0.690  0.857
Fe  0.250  0.783  0.969
Fe  0.250  0.717  0.469
Fe  0.750  0.217  0.031
Fe  0.750  0.283  0.531
Fe  0.250  0.477  0.692
Fe  0.250  0.023  0.192
Fe  0.750  0.523  0.308
Fe  0.750  0.977  0.808
O  0.250  0.881  0.088
O  0.250  0.619  0.588
O  0.750  0.119  0.912
O  0.750  0.381  0.412
O  0.250  0.319  0.790
O  0.250  0.181  0.290
O  0.750  0.681  0.210
O  0.750  0.819  0.710
O  0.510  0.140  0.507
O  0.990  0.360  0.007
O  0.010  0.860  0.493
O  0.490  0.640  0.993
O  0.490  0.860  0.493
O  0.010  0.640  0.993
O  0.990  0.140  0.507
O  0.510  0.360  0.007
O  0.510  0.058  0.717
O  0.990  0.442  0.217
O  0.010  0.942  0.283
O  0.490  0.558  0.783
O  0.490  0.942  0.283
O  0.010  0.558  0.783
O  0.990  0.058  0.717
O  0.510  0.442  0.217
O  0.999  0.368  0.611
O  0.501  0.132  0.111
O  0.499  0.632  0.389
O  0.001  0.868  0.889
O  0.001  0.632  0.389
O  0.499  0.868  0.889
O  0.501  0.368  0.611
O  0.999  0.132  0.111

Calculated values
E_form ... -20.41 eV/f.u.
Final energy ... -52.06 eV per formula unit
V ... 799 Å³ per cell
Space group ... Pnma (62)
E (MP2020) ... -8.15 eV/atom

---

# 12
This record from Materials Project describes crystalline BaYFe4O7 at its relaxed geometry. The functional is PBE+U.

a = 6.545 Å, b = 6.545 Å, c = 10.506 Å
α = 90.00°, β = 90.00°, γ = 120.00°
Atoms (fractional coordinates):
Ba  0.667  0.333  0.484
Ba  0.333  0.667  0.984
Y  0.667  0.333  0.878
Y  0.333  0.667  0.378
Fe  0.828  0.172  0.195
Fe  0.657  0.828  0.695
Fe  0.172  0.343  0.695
Fe  0.828  0.657  0.195
Fe  0.343  0.172  0.195
Fe  0.172  0.828  0.695
Fe  0.000  0.000  0.446
Fe  0.000  0.000  0.946
O  0.838  0.162  0.000
O  0.677  0.838  0.500
O  0.162  0.323  0.500
O  0.838  0.677  0.000
O  0.323  0.162  0.000
O  0.162  0.838  0.500
O  0.000  0.000  0.761
O  0.000  0.000  0.261
O  0.500  0.500  0.260
O  0.999  0.500  0.760
O  0.500  0.001  0.760
O  0.500  0.999  0.260
O  0.500  0.500  0.760
O  0.001  0.500  0.260

Calculated values
E_form ... -28.61 eV/f.u.
Final energy ... -91.68 eV per formula unit
V ... 390 Å³ per cell
Space group ... P6_3mc (186)
E (MP2020) ... -8.12 eV/atom

---

# 13
This record from Materials Project describes crystalline BaZnFe4O8 at its relaxed geometry. The functional is PBE+U.

a = 5.432 Å, b = 5.432 Å, c = 7.363 Å
α = 90.00°, β = 90.00°, γ = 120.00°
Atoms (fractional coordinates):
Ba  0.000  0.000  0.000
Zn  0.000  0.000  0.500
Fe  0.333  0.667  0.744
Fe  0.667  0.333  0.744
Fe  0.333  0.667  0.256
Fe  0.667  0.333  0.256
O  0.317  0.317  0.679
O  0.683  0.000  0.679
O  0.000  0.683  0.679
O  0.683  0.683  0.321
O  0.000  0.317  0.321
O  0.317  0.000  0.321
O  0.333  0.667  0.000
O  0.667  0.333  0.000

Calculated values
E_form ... -25.33 eV/f.u.
Final energy ... -87.46 eV per formula unit
V ... 188 Å³ per cell
Space group ... P-31m (162)
E (MP2020) ... -7.28 eV/atom

---

# 14
This record from Materials Project describes crystalline BaZnFe6O11 at its relaxed geometry. The functional is PBE+U.

a = 5.896 Å, b = 5.896 Å, c = 14.955 Å
α = 78.94°, β = 78.94°, γ = 59.98°
Atoms (fractional coordinates):
Ba  0.297  0.297  0.105
Ba  0.699  0.699  0.896
Zn  0.848  0.848  0.456
Zn  0.155  0.155  0.542
Fe  0.932  0.932  0.201
Fe  0.065  0.065  0.801
Fe  0.999  0.999  0.001
Fe  0.507  0.507  0.499
Fe  0.388  0.892  0.331
Fe  0.892  0.388  0.331
Fe  0.386  0.386  0.331
Fe  0.612  0.106  0.668
Fe  0.106  0.612  0.668
Fe  0.612  0.612  0.668
Fe  0.623  0.623  0.132
Fe  0.377  0.377  0.869
O  0.204  0.204  0.401
O  0.799  0.799  0.596
O  0.685  0.685  0.405
O  0.692  0.227  0.412
O  0.227  0.692  0.412
O  0.321  0.321  0.591
O  0.330  0.779  0.587
O  0.779  0.330  0.587
O  0.087  0.087  0.259
O  0.079  0.567  0.255
O  0.567  0.079  0.255
O  0.910  0.910  0.741
O  0.902  0.427  0.746
O  0.427  0.902  0.746
O  0.574  0.574  0.263
O  0.423  0.423  0.739
O  0.813  0.813  0.088
O  0.813  0.284  0.089
O  0.284  0.813  0.089
O  0.186  0.186  0.911
O  0.183  0.715  0.912
O  0.715  0.183  0.912

Calculated values
E_form ... -34.43 eV/f.u.
Final energy ... -121.76 eV per formula unit
V ... 439 Å³ per cell
Space group ... Cm (8)
E (MP2020) ... -7.52 eV/atom